Record 1
Density functional theory data (PBE) for a geometry-optimized K2MgZn2P6O18 structure.

Lattice parameters (Å, degrees): 6.949 6.946 10.060 90.00 90.00 120.11
Fractional coordinates of all 29 atoms:
1 O 0.758 0.025 0.121
2 O 0.267 0.241 0.121
3 O 0.758 0.025 0.379
4 P 0.739 0.615 0.750
5 O 0.902 0.510 0.750
6 O 0.267 0.241 0.379
7 Mg 0.330 0.660 0.250
8 O 0.975 0.242 0.878
9 O 0.975 0.242 0.622
10 K 0.335 0.669 0.560
11 O 0.267 0.025 0.622
12 O 0.491 0.392 0.750
13 O 0.759 0.734 0.878
14 O 0.612 0.509 0.250
15 P 0.879 0.612 0.250
16 O 0.608 0.099 0.750
17 P 0.386 0.125 0.750
18 O 0.898 0.387 0.250
19 O 0.974 0.732 0.121
20 P 0.387 0.265 0.250
21 O 0.974 0.732 0.379
22 Zn 0.000 0.000 0.493
23 P 0.876 0.262 0.750
24 O 0.759 0.734 0.622
25 O 0.489 0.101 0.250
26 Zn 0.000 0.000 0.007
27 O 0.267 0.025 0.878
28 K 0.335 0.669 0.940
29 P 0.732 0.119 0.250

Properties
- corrected total energy (MP2020 scheme) (eV/atom) = -6.75
- DFT formation energy (meV per atom) = -2341
- SG = No. 6

Record 2
Density functional theory data (PBE) for a geometry-optimized K12MgPb4O10 structure.

Lattice parameters (Å, degrees): 6.419 8.436 12.353 84.05 83.55 87.39
Fractional coordinates of all 27 atoms:
1 K 0.784 0.536 0.900
2 K 0.590 0.947 0.610
3 O 0.203 0.373 0.515
4 K 0.757 0.947 0.887
5 O 0.516 0.735 0.987
6 K 0.319 0.927 0.116
7 O 0.605 0.376 0.228
8 K 0.997 0.595 0.625
9 K 0.515 0.462 0.621
10 K 0.404 0.614 0.360
11 O 0.385 0.465 0.848
12 O 0.393 0.163 0.734
13 K 0.385 0.169 0.362
14 O 0.640 0.970 0.242
15 O 0.591 0.196 0.990
16 Pb 0.105 0.178 0.641
17 Pb 0.893 0.882 0.362
18 Pb 0.327 0.729 0.846
19 O 0.074 0.716 0.262
20 K 0.909 0.451 0.369
21 K 0.339 0.468 0.078
22 O 0.857 0.313 0.750
23 Mg 0.566 0.273 0.829
24 O 0.718 0.701 0.473
25 K 0.124 0.233 0.901
26 K 0.773 0.699 0.140
27 Pb 0.771 0.190 0.138

Properties
- corrected total energy (MP2020 scheme) (eV/atom) = -4.38
- DFT formation energy (meV per atom) = -1443
- SG = No. 1

Record 3
Density functional theory data (PBE) for a geometry-optimized K12MgPb4O10 structure.

Lattice parameters (Å, degrees): 6.857 8.015 13.026 77.16 80.97 84.15
Fractional coordinates of all 27 atoms:
1 K 0.323 0.960 0.138
2 K 0.323 0.503 0.125
3 K 0.613 0.513 0.886
4 O 0.644 0.946 0.240
5 K 0.572 0.359 0.627
6 O 0.500 0.773 0.986
7 O 0.629 0.382 0.234
8 K 0.558 0.831 0.641
9 K 0.175 0.313 0.867
10 K 0.025 0.552 0.569
11 O 0.923 0.290 0.724
12 K 0.691 0.061 0.875
13 Pb 0.744 0.203 0.129
14 Pb 0.257 0.865 0.898
15 O 0.298 0.655 0.796
16 Pb 0.881 0.851 0.350
17 O 0.716 0.650 0.465
18 K 0.428 0.596 0.361
19 O 0.286 0.320 0.514
20 O 0.074 0.686 0.257
21 Pb 0.136 0.125 0.642
22 K 0.785 0.706 0.120
23 O 0.379 0.076 0.761
24 K 0.434 0.139 0.371
25 K 0.908 0.403 0.358
26 O 0.500 0.242 0.035
27 Mg 0.029 0.726 0.767

Properties
- corrected total energy (MP2020 scheme) (eV/atom) = -4.34
- DFT formation energy (meV per atom) = -1409
- SG = No. 1

Record 4
Density functional theory data (PBE) for a geometry-optimized KRbMg14O15 structure.

Lattice parameters (Å, degrees): 9.087 8.958 4.332 90.00 90.00 90.00
Fractional coordinates of all 31 atoms:
1 O 0.738 0.000 0.000
2 Mg 0.705 0.500 0.500
3 Mg 0.521 0.000 0.000
4 Mg 0.260 0.500 0.500
5 O 0.747 0.251 0.500
6 O 0.481 0.000 0.500
7 O 0.007 0.236 0.000
8 K 0.103 0.000 0.000
9 O 0.249 0.772 0.500
10 Mg 0.768 0.233 0.000
11 Mg 0.237 0.716 0.000
12 O 0.006 0.000 0.500
13 Mg 0.768 0.767 0.000
14 O 0.007 0.764 0.000
15 O 0.747 0.749 0.500
16 O 0.272 0.500 0.000
17 O 0.053 0.500 0.500
18 Mg 0.011 0.249 0.500
19 O 0.468 0.773 0.000
20 O 0.468 0.227 0.000
21 Mg 0.011 0.751 0.500
22 Mg 0.490 0.764 0.500
23 Mg 0.490 0.236 0.500
24 O 0.691 0.500 0.000
25 Mg 0.785 0.000 0.500
26 Rb 0.953 0.500 0.000
27 Mg 0.485 0.500 0.000
28 O 0.249 0.228 0.500
29 O 0.482 0.500 0.500
30 Mg 0.259 0.000 0.500
31 Mg 0.237 0.284 0.000

Properties
- corrected total energy (MP2020 scheme) (eV/atom) = -5.69
- DFT formation energy (meV per atom) = -2509
- SG = No. 25

Record 5
Density functional theory data (PBE) for a geometry-optimized KRbMg14O15 structure.

Lattice parameters (Å, degrees): 8.602 8.941 4.484 90.00 90.00 90.00
Fractional coordinates of all 31 atoms:
1 Mg 0.496 0.255 0.500
2 O 0.477 0.730 0.000
3 O 0.742 0.500 0.000
4 O 0.999 0.741 0.000
5 Mg 0.996 0.249 0.500
6 O 0.477 0.270 0.000
7 Mg 0.740 0.000 0.500
8 O 0.714 0.000 0.000
9 Mg 0.519 0.500 0.000
10 Mg 0.759 0.261 0.000
11 Mg 0.769 0.500 0.500
12 Mg 0.241 0.784 0.000
13 O 0.744 0.253 0.500
14 Mg 0.241 0.216 0.000
15 Mg 0.759 0.739 0.000
16 O 0.744 0.747 0.500
17 O 0.004 0.500 0.500
18 Mg 0.996 0.751 0.500
19 O 0.246 0.260 0.500
20 O 0.246 0.740 0.500
21 O 0.999 0.259 0.000
22 Mg 0.496 0.000 0.000
23 Rb 0.110 0.500 0.000
24 Mg 0.247 0.000 0.500
25 Mg 0.253 0.500 0.500
26 O 0.271 0.000 0.000
27 K 0.982 0.000 0.000
28 O 0.011 0.000 0.500
29 O 0.490 0.000 0.500
30 Mg 0.496 0.745 0.500
31 O 0.484 0.500 0.500

Properties
- corrected total energy (MP2020 scheme) (eV/atom) = -5.73
- DFT formation energy (meV per atom) = -2544
- SG = No. 25

Record 6
Density functional theory data (PBE) for a geometry-optimized KRbMg14O15 structure.

Lattice parameters (Å, degrees): 4.265 8.589 9.614 90.00 90.00 90.00
Fractional coordinates of all 31 atoms:
1 Mg 0.000 0.500 0.031
2 Mg 0.500 0.000 0.730
3 Mg 0.500 0.500 0.248
4 O 0.500 0.500 0.012
5 Mg 0.000 0.744 0.285
6 Mg 0.500 0.241 0.996
7 Mg 0.000 0.000 0.501
8 O 0.000 0.766 0.498
9 O 0.000 0.000 0.717
10 Rb 0.000 0.500 0.596
11 O 0.000 0.500 0.234
12 Mg 0.000 0.221 0.748
13 O 0.500 0.236 0.228
14 O 0.500 0.716 0.727
15 O 0.000 0.000 0.288
16 Mg 0.500 0.736 0.505
17 K 0.000 0.000 0.034
18 Mg 0.500 0.500 0.810
19 O 0.500 0.284 0.727
20 O 0.000 0.291 0.943
21 O 0.500 0.500 0.456
22 O 0.500 0.764 0.228
23 O 0.500 0.000 0.935
24 O 0.000 0.709 0.943
25 Mg 0.000 0.779 0.748
26 Mg 0.500 0.759 0.996
27 Mg 0.500 0.000 0.289
28 O 0.000 0.234 0.498
29 Mg 0.000 0.256 0.285
30 Mg 0.500 0.264 0.505
31 O 0.500 0.000 0.507

Properties
- corrected total energy (MP2020 scheme) (eV/atom) = -5.79
- DFT formation energy (meV per atom) = -2607
- SG = No. 25

Record 7
Density functional theory data (PBE) for a geometry-optimized KRbMg14O15 structure.

Lattice parameters (Å, degrees): 4.169 8.576 10.424 90.00 90.00 90.00
Fractional coordinates of all 31 atoms:
1 Mg 0.000 0.500 0.989
2 Mg 0.500 0.000 0.224
3 O 0.000 0.206 0.586
4 Rb 0.000 0.500 0.445
5 O 0.500 0.786 0.777
6 Mg 0.000 0.276 0.772
7 O 0.000 0.500 0.791
8 O 0.000 0.500 0.190
9 O 0.500 0.500 0.981
10 Mg 0.500 0.261 0.572
11 Mg 0.500 0.766 0.997
12 O 0.000 0.000 0.275
13 Mg 0.500 0.500 0.179
14 Mg 0.000 0.724 0.772
15 O 0.500 0.258 0.207
16 Mg 0.500 0.739 0.572
17 Mg 0.000 0.000 0.476
18 K 0.000 0.000 0.913
19 Mg 0.000 0.244 0.188
20 Mg 0.500 0.000 0.701
21 Mg 0.000 0.756 0.188
22 O 0.500 0.500 0.589
23 O 0.500 0.214 0.777
24 O 0.000 0.794 0.586
25 O 0.500 0.000 0.514
26 O 0.500 0.742 0.207
27 O 0.500 0.000 0.032
28 Mg 0.500 0.500 0.782
29 Mg 0.500 0.234 0.997
30 O 0.000 0.264 0.986
31 O 0.000 0.736 0.986

Properties
- corrected total energy (MP2020 scheme) (eV/atom) = -5.79
- DFT formation energy (meV per atom) = -2609
- SG = No. 25

Record 8
Density functional theory data (PBE) for a geometry-optimized K2MgRe2O8 structure.

Lattice parameters (Å, degrees): 5.545 6.379 7.983 113.78 110.26 90.07
Fractional coordinates of all 13 atoms:
1 Re 0.119 0.368 0.236
2 Re 0.886 0.637 0.773
3 O 0.928 0.368 0.592
4 K 0.610 0.860 0.219
5 O 0.809 0.178 0.140
6 Mg 0.674 0.424 0.346
7 O 0.178 0.838 0.909
8 O 0.332 0.462 0.140
9 O 0.361 0.231 0.357
10 O 0.730 0.570 0.908
11 O 0.665 0.726 0.594
12 O 0.996 0.628 0.357
13 K 0.369 0.118 0.738

Properties
- corrected total energy (MP2020 scheme) (eV/atom) = -7.43
- DFT formation energy (meV per atom) = -2174
- SG = No. 1